Computed, not measured: a relaxed Na10Hf6Mg2Si7S5O48 crystal at the GGA-PBE level of DFT.

* theoretical density: 3.81 Mg/m³
* formation energy: -2.88 eV/atom
* symmetry: No. 1

abc: 9.0691 15.6376 22.8397
angles: 89.97 89.97 89.99
Closest atoms and distances in Å follow each position.
Element x y z (fractional)
Na: 0.0000 0.0000 0.0000  4 O 2.34-2.61
Na: 0.0045 0.3687 0.0007  4 O 2.39-2.52
Na: 0.0142 0.0322 0.3354  5 O 2.40-2.64
Na: 0.0515 0.6766 0.0019  5 O 2.43-2.68
Na: 0.1911 0.8557 0.5852  6 O 2.52-2.76
Na: 0.1938 0.1927 0.2535  4 O 2.48-2.64
Na: 0.1960 0.5135 0.9167  6 O 2.51-2.71
Na: 0.2013 0.1846 0.7475  6 O 2.52-2.73
Na: 0.2005 0.8512 0.0838  6 O 2.48-2.70
Na: 0.2026 0.5131 0.4177  6 O 2.55-2.78
Na: 0.3180 0.6735 0.4959  5 O 2.38-2.63
Na: 0.3664 0.3717 0.4956  5 O 2.40-2.67
Na: 0.3720 0.6982 0.1648  4 O 2.42-2.50
Na: 0.3787 0.6746 0.8282  3 O 2.32-2.57
Na: 0.5144 0.1749 0.3286  3 O 2.32-2.58
Na: 0.5260 0.8744 0.0008  5 O 2.40-2.67
Na: 0.5555 0.8460 0.3287  4 O 2.38-2.63
Na: 0.5751 0.1732 0.9965  4 O 2.34-2.56
Na: 0.6834 0.0100 0.9191  5 O 2.43-2.70
Na: 0.6970 0.6913 0.7531  4 O 2.48-2.64
Na: 0.6998 0.0186 0.4172  6 O 2.45-2.74
Na: 0.7009 0.3543 0.0849  6 O 2.51-2.78
Na: 0.7020 0.6791 0.2483  6 O 2.48-2.72
Na: 0.7043 0.3438 0.5847  6 O 2.42-2.71
Na: 0.8377 0.1766 0.5035  5 O 2.44-2.68
Na: 0.8713 0.1698 0.8301  4 O 2.37-2.60
Na: 0.8718 0.5312 0.8345  5 O 2.41-2.65
Na: 0.8731 0.8299 0.1666  6 O 2.47-2.72
Na: 0.8844 0.8695 0.5012  4 O 2.38-2.50
Na: 0.8893 0.4991 0.5003  4 O 2.38-2.57
Hf: 0.1746 0.1767 0.6026  3 O 1.93-1.96
Hf: 0.1824 0.1874 0.3937  5 O 1.97-2.12
Hf: 0.1889 0.1798 0.1001  4 O 1.93-2.13
Hf: 0.1897 0.8511 0.4318  5 O 1.98-2.11
Hf: 0.1987 0.5166 0.2699  6 O 1.99-2.20
Hf: 0.1992 0.8476 0.9309  5 O 1.97-2.13
Hf: 0.1996 0.1798 0.8950  6 O 1.95-2.17
Hf: 0.2002 0.5142 0.7703  5 O 1.96-2.18
Hf: 0.2025 0.8459 0.2318  5 O 1.97-2.08
Hf: 0.6852 0.0166 0.7670  5 O 2.01-2.18
Hf: 0.6904 0.0129 0.2681  6 O 2.00-2.21
Hf: 0.6919 0.3472 0.4313  5 O 1.97-2.13
Hf: 0.6948 0.3422 0.7318  4 O 1.94-2.04
Hf: 0.6978 0.6758 0.3947  5 O 1.97-2.12
Hf: 0.7005 0.3522 0.9316  5 O 1.98-2.13
Hf: 0.7032 0.6791 0.6008  4 O 1.93-2.14
Hf: 0.7080 0.6857 0.8931  5 O 1.98-2.11
Hf: 0.7119 0.6788 0.1021  4 O 1.96-2.11
Mg: 0.1835 0.5183 0.0676  4 O 1.95-2.15
Mg: 0.1962 0.5155 0.5594  6 O 2.01-2.18
Mg: 0.2024 0.8432 0.7330  2 O 1.91-1.92
Mg: 0.6868 0.0130 0.0595  5 O 1.97-2.17
Mg: 0.6894 0.3422 0.2334  2 O 1.91-1.92
Mg: 0.7054 0.0202 0.5682  4 O 1.92-2.14
Si: 0.0457 0.0329 0.4973  4 O 1.64
Si: 0.0475 0.3297 0.4998  4 O 1.61-1.65
Si: 0.0502 0.7059 0.8281  4 O 1.57-1.68
Si: 0.0520 0.6607 0.1639  4 O 1.61-1.66
Si: 0.3397 0.9954 0.3318  4 O 1.61-1.65
Si: 0.3416 0.0346 0.9990  4 O 1.60-1.66
Si: 0.3417 0.6999 0.3343  4 O 1.62-1.65
Si: 0.4032 0.3495 0.3302  4 O 1.59-1.68
Si: 0.4882 0.8499 0.8301  4 O 1.59-1.67
Si: 0.5462 0.2016 0.8336  4 O 1.62-1.65
Si: 0.5457 0.8692 0.1614  4 O 1.59-1.68
Si: 0.5488 0.5344 0.4994  4 O 1.61-1.66
Si: 0.5510 0.4934 0.8305  4 O 1.62-1.65
Si: 0.8377 0.1626 0.6644  4 O 1.60-1.68
Si: 0.8405 0.2050 0.3282  4 O 1.57-1.67
Si: 0.8441 0.5327 0.9976  4 O 1.64-1.65
Si: 0.8449 0.8299 0.9991  4 O 1.60-1.66
Si: 0.9000 0.1820 0.9978  4 O 1.60-1.67
Si: 0.9017 0.8465 0.3297  4 O 1.62-1.66
Si: 0.9899 0.3468 0.8310  4 O 1.62-1.65
Si: 0.9903 0.6825 0.4988  4 O 1.60-1.66
S: 0.0470 0.3691 0.1638  4 O 1.46-1.52
S: 0.0491 0.9932 0.8297  4 O 1.44-1.51
S: 0.3396 0.3277 0.9996  4 O 1.47-1.50
S: 0.3403 0.6625 0.6627  4 O 1.47-1.52
S: 0.3418 0.3703 0.6627  4 O 1.47-1.50
S: 0.4034 0.0132 0.6625  4 O 1.46-1.51
S: 0.4039 0.6789 0.9983  4 O 1.47-1.52
S: 0.4844 0.5109 0.1632  4 O 1.46-1.52
S: 0.4850 0.1793 0.4984  4 O 1.47-1.53
S: 0.5499 0.1638 0.1627  4 O 1.47-1.52
S: 0.5512 0.8276 0.4993  4 O 1.47-1.50
S: 0.8408 0.4919 0.3290  4 O 1.43-1.51
S: 0.8433 0.8691 0.6636  4 O 1.47-1.52
S: 0.9044 0.5154 0.6640  4 O 1.46-1.52
S: 0.9867 0.0175 0.1643  4 O 1.46-1.50
O: 0.0004 0.8352 0.2712  1 Si 1.62
O: 0.0041 0.5013 0.3255  1 S 1.49
O: 0.0035 0.8599 0.6696  1 S 1.47
O: 0.0036 0.8665 0.3876  1 Si 1.64
O: 0.0070 0.1694 0.9404  1 Si 1.64
O: 0.0165 0.2016 0.0526  1 Si 1.67
O: 0.0178 0.1857 0.3362  1 Si 1.65
O: 0.0227 0.1707 0.6634  1 Si 1.68
O: 0.0242 0.5218 0.0026  1 Si 1.65
O: 0.0259 0.8343 0.9915  1 Si 1.65
O: 0.0769 0.7642 0.7732  1 Si 1.57
O: 0.0768 0.9429 0.8848  1 S 1.51
O: 0.0776 0.0934 0.4402  1 Si 1.64
O: 0.0781 0.2648 0.5551  1 Si 1.64
O: 0.0793 0.9394 0.1699  1 S 1.49
O: 0.0817 0.4172 0.1095  1 S 1.48
O: 0.0839 0.0951 0.1604  1 S 1.50
O: 0.0863 0.2600 0.8380  1 Si 1.62
O: 0.0866 0.4341 0.8212  1 Si 1.64
O: 0.0883 0.5978 0.5058  1 Si 1.60
O: 0.0895 0.5993 0.2196  1 Si 1.63
O: 0.0946 0.7680 0.4943  1 Si 1.64
O: 0.1125 0.0814 0.8375  1 S 1.51
O: 0.1149 0.4105 0.2157  1 S 1.48
O: 0.1146 0.9540 0.7787  1 S 1.44
O: 0.1177 0.7593 0.1713  1 Si 1.66
O: 0.1185 0.4233 0.5065  1 Si 1.61
O: 0.1200 0.0806 0.5542  1 Si 1.64
O: 0.1207 0.2816 0.1595  1 S 1.52
O: 0.1217 0.9376 0.4942  1 Si 1.64
O: 0.1268 0.6085 0.8214  1 Si 1.68
O: 0.1271 0.7426 0.8894  1 Si 1.67
O: 0.1282 0.2848 0.4439  1 Si 1.63
O: 0.1306 0.6256 0.1054  1 Si 1.61
O: 0.2583 0.9514 0.2762  1 Si 1.62
O: 0.2598 0.9407 0.9934  1 Si 1.65
O: 0.2607 0.0833 0.0549  1 Si 1.66
O: 0.2667 0.6066 0.3249  1 Si 1.62
O: 0.2704 0.2879 0.9470  1 S 1.49
O: 0.2711 0.4121 0.0070  1 S 1.47
O: 0.2716 0.0902 0.3395  1 Si 1.61
O: 0.2728 0.7444 0.3928  1 Si 1.63
O: 0.2751 0.4126 0.7153  1 S 1.50
O: 0.2747 0.7478 0.6682  1 S 1.47
O: 0.2780 0.2826 0.6591  1 S 1.49
O: 0.2811 0.6185 0.6110  1 S 1.47
O: 0.2911 0.4309 0.3239  1 Si 1.64
O: 0.3041 0.9396 0.6707  1 S 1.47
O: 0.3056 0.0975 0.9436  1 Si 1.63
O: 0.3063 0.6041 0.0036  1 S 1.47
O: 0.3077 0.2609 0.3404  1 Si 1.65
O: 0.3095 0.7591 0.9936  1 S 1.52
O: 0.3109 0.4208 0.6101  1 S 1.47
O: 0.3124 0.2718 0.0518  1 S 1.50
O: 0.3129 0.6092 0.7166  1 S 1.51
O: 0.3162 0.0949 0.6587  1 S 1.51
O: 0.3182 0.7609 0.2760  1 Si 1.65
O: 0.3222 0.9308 0.3875  1 Si 1.63
O: 0.3668 0.8555 0.1697  1 Si 1.65
O: 0.3687 0.1902 0.8382  1 Si 1.62
O: 0.3725 0.5084 0.8218  1 Si 1.65
O: 0.3733 0.5251 0.5060  1 Si 1.61
O: 0.3833 0.1712 0.1583  1 S 1.52
O: 0.3835 0.8306 0.7760  1 Si 1.59
O: 0.3886 0.5256 0.2161  1 S 1.51
O: 0.3887 0.8316 0.4945  1 S 1.48
O: 0.3898 0.8645 0.8914  1 Si 1.67
O: 0.3909 0.1951 0.5501  1 S 1.48
O: 0.3912 0.4998 0.1111  1 S 1.47
O: 0.3970 0.1701 0.4444  1 S 1.48
O: 0.4948 0.6700 0.9452  1 S 1.47
O: 0.4955 0.6938 0.0513  1 S 1.49
O: 0.4979 0.0011 0.6111  1 S 1.46
O: 0.4985 0.0249 0.7162  1 S 1.51
O: 0.5012 0.3644 0.3916  1 Si 1.68
O: 0.5016 0.3314 0.9938  1 S 1.48
O: 0.5041 0.3638 0.6703  1 S 1.49
O: 0.5066 0.6704 0.6584  1 S 1.52
O: 0.5077 0.3308 0.2760  1 Si 1.59
O: 0.5177 0.0278 0.0020  1 Si 1.60
O: 0.5192 0.0052 0.3230  1 Si 1.65
O: 0.5220 0.6956 0.3395  1 Si 1.64
O: 0.5697 0.5944 0.1587  1 S 1.52
O: 0.5746 0.4336 0.8881  1 Si 1.63
O: 0.5773 0.1104 0.2168  1 S 1.51
O: 0.5790 0.2616 0.7768  1 Si 1.63
O: 0.5795 0.5974 0.4434  1 Si 1.64
O: 0.5801 0.7708 0.5509  1 S 1.50
O: 0.5807 0.2594 0.4935  1 S 1.53
O: 0.5820 0.9238 0.1044  1 Si 1.59
O: 0.5833 0.1048 0.5040  1 S 1.47
O: 0.5839 0.7613 0.8404  1 Si 1.65
O: 0.5852 0.4392 0.1714  1 S 1.46
O: 0.5990 0.9320 0.8237  1 Si 1.64
O: 0.6101 0.1212 0.1108  1 S 1.47
O: 0.6143 0.2493 0.1687  1 S 1.47
O: 0.6152 0.7698 0.1584  1 Si 1.68
O: 0.6179 0.7887 0.4456  1 S 1.50
O: 0.6193 0.9119 0.5070  1 S 1.47
O: 0.6197 0.5892 0.8390  1 Si 1.63
O: 0.6246 0.2428 0.8920  1 Si 1.64
O: 0.6253 0.9116 0.2205  1 Si 1.67
O: 0.6309 0.4409 0.4934  1 Si 1.65
O: 0.6311 0.5836 0.5548  1 Si 1.66
O: 0.6321 0.1093 0.8245  1 Si 1.65
O: 0.6324 0.4509 0.7745  1 Si 1.62
O: 0.7627 0.7816 0.9451  1 Si 1.63
O: 0.7639 0.1083 0.3227  1 Si 1.67
O: 0.7648 0.2434 0.3895  1 Si 1.67
O: 0.7673 0.2599 0.6702  1 Si 1.65
O: 0.7697 0.4372 0.9945  1 Si 1.64
O: 0.7697 0.5808 0.0541  1 Si 1.64
O: 0.7696 0.7817 0.6600  1 S 1.52
O: 0.7740 0.1235 0.6046  1 Si 1.60
O: 0.7752 0.5797 0.3369  1 S 1.51
O: 0.7754 0.9113 0.7155  1 S 1.49
O: 0.7761 0.4533 0.2784  1 S 1.43
O: 0.7770 0.9244 0.0035  1 Si 1.60
O: 0.7882 0.7670 0.3383  1 Si 1.63
O: 0.7959 0.2679 0.9943  1 Si 1.64
O: 0.8012 0.9348 0.3238  1 Si 1.66
O: 0.8024 0.0975 0.0066  1 Si 1.60
O: 0.8056 0.1034 0.7230  1 Si 1.65
O: 0.8062 0.4406 0.6696  1 S 1.48
O: 0.8089 0.9169 0.6094  1 S 1.48
O: 0.8102 0.5956 0.6605  1 S 1.52
O: 0.8137 0.4423 0.3849  1 S 1.51
O: 0.8138 0.5930 0.9402  1 Si 1.64
O: 0.8156 0.2636 0.2734  1 Si 1.57
O: 0.8183 0.7683 0.0574  1 Si 1.66
O: 0.8659 0.0214 0.5019  1 Si 1.64
O: 0.8667 0.3355 0.4919  1 Si 1.65
O: 0.8698 0.6720 0.1626  1 Si 1.66
O: 0.8737 0.6852 0.8360  1 Si 1.64
O: 0.8769 0.7022 0.5543  1 Si 1.66
O: 0.8780 0.6694 0.4434  1 Si 1.64
O: 0.8800 0.3299 0.7765  1 Si 1.62
O: 0.8860 0.0042 0.8258  1 S 1.49
O: 0.8869 0.3601 0.1695  1 S 1.46
O: 0.8919 0.3681 0.8899  1 Si 1.65
O: 0.8955 0.0068 0.1119  1 S 1.46
O: 0.8968 0.0296 0.2181  1 S 1.49
O: 0.9956 0.5064 0.6116  1 S 1.46
O: 0.9963 0.5264 0.7176  1 S 1.49